No. 1
Material: K2NdCl5
Method: DFT, r2SCAN
State: relaxed

Calculated values
Space-group type: Pnma (62)
Formation energy from the elements: -19.4 eV/f.u.

a b c (Å): 7.997 8.734 12.771
angles (deg): 90.00 90.00 90.00
Element x y z (fractional)
K 0.549 0.495 0.828
K 0.451 0.505 0.172
K 0.451 0.995 0.172
Nd 0.922 0.750 0.006
Cl 0.665 0.043 0.579
Cl 0.927 0.750 0.507
Cl 0.165 0.543 0.921
Nd 0.078 0.250 0.994
Cl 0.667 0.750 0.294
Cl 0.165 0.957 0.921
Cl 0.573 0.750 0.007
Cl 0.333 0.250 0.706
Cl 0.869 0.250 0.821
Cl 0.835 0.043 0.079
Cl 0.665 0.457 0.579
Nd 0.422 0.250 0.494
Cl 0.833 0.750 0.794
Cl 0.131 0.750 0.179
K 0.049 0.995 0.672
Cl 0.835 0.457 0.079
Cl 0.335 0.957 0.421
Cl 0.073 0.250 0.493
Cl 0.369 0.750 0.679
Cl 0.167 0.250 0.206
Nd 0.578 0.750 0.506
K 0.049 0.505 0.672
K 0.951 0.005 0.328
K 0.549 0.005 0.828
Cl 0.631 0.250 0.321
Cl 0.335 0.543 0.421
Cl 0.427 0.250 0.993
K 0.951 0.495 0.328

No. 2
Material: K3ClO
Method: DFT, r2SCAN
State: relaxed

Calculated values
Space-group type: Pm (6)
Formation energy from the elements: -7.7 eV/f.u.

a b c (Å): 5.137 5.147 5.144
angles (deg): 89.54 90.00 90.00
Element x y z (fractional)
O 0.000 0.000 0.014
K 0.500 0.031 0.003
K 0.000 0.971 0.516
Cl 0.500 0.498 0.498
K 0.000 0.500 0.041